First-principles (PBE) data for Tm2CdPd2 after structural relaxation, as listed in Materials Project.

Values from the calculation:
Total DFT energy (no corrections)   -24.36 eV per formula unit

Cell lengths 7.668, 7.668, 3.688 Å; angles 90.00, 90.00, 90.00 degrees
Space group P4/mbm (No. 127)
Unique sites:
Tm (0.172, 0.328, 0.000) x4
Cd (0.000, 0.000, 0.500) x2
Pd (0.129, 0.629, 0.500) x4

---

First-principles (PBE) data for Tm4CdPd after structural relaxation, as listed in Materials Project.

Values from the calculation:
Total DFT energy (no corrections)   -26.80 eV per formula unit

Cell lengths 13.524, 13.524, 13.524 Å; angles 90.00, 90.00, 90.00 degrees
Space group F-43m (No. 216)
Unique sites:
Tm (0.000, 0.000, 0.184) x24
Tm (0.061, 0.250, 0.750) x24
Tm (0.105, 0.105, 0.395) x16
Cd (0.167, 0.167, 0.167) x16
Pd (0.105, 0.105, 0.605) x16

---

Number 1: energy of formation from the pure elements -4.1 eV per formula unit, mass density 10.15 g/cm3. Number 2: energy of formation from the pure elements -2.8 eV per formula unit, mass density 9.61 g/cm3.